VASP calculation (PBE+U) on ZnFe2CoO7 after structural relaxation.

Properties
Space-group type: P2_1/c (14)
Size of the total moment in μB per formula unit: 9.0
E_form in kJ/mol of formula units: -1230
Energy in eV per atom: -5.61

abc: 6.954 13.333 11.046
angles: 90.00 106.35 90.00
Positions (direct):
Zn  0.058  0.014  0.309
Zn  0.058  0.486  0.809
Zn  0.319  0.626  0.435
Zn  0.319  0.874  0.935
Zn  0.681  0.126  0.065
Zn  0.681  0.374  0.565
Zn  0.942  0.514  0.191
Zn  0.942  0.986  0.691
Fe  0.124  0.675  0.015
Fe  0.124  0.825  0.515
Fe  0.163  0.117  0.012
Fe  0.163  0.383  0.512
Fe  0.411  0.501  0.176
Fe  0.411  0.999  0.676
Fe  0.474  0.706  0.771
Fe  0.474  0.794  0.271
Fe  0.526  0.206  0.729
Fe  0.526  0.294  0.229
Fe  0.589  0.001  0.324
Fe  0.589  0.499  0.824
Fe  0.837  0.617  0.488
Fe  0.837  0.883  0.988
Fe  0.876  0.175  0.485
Fe  0.876  0.325  0.985
Co  0.019  0.223  0.742
Co  0.019  0.277  0.242
Co  0.359  0.187  0.423
Co  0.359  0.313  0.923
Co  0.641  0.687  0.077
Co  0.641  0.813  0.577
Co  0.981  0.723  0.758
Co  0.981  0.777  0.258
O  0.002  0.120  0.846
O  0.002  0.380  0.346
O  0.014  0.696  0.420
O  0.014  0.804  0.920
O  0.028  0.119  0.636
O  0.028  0.381  0.136
O  0.064  0.174  0.379
O  0.064  0.326  0.879
O  0.226  0.545  0.030
O  0.226  0.955  0.530
O  0.245  0.545  0.271
O  0.245  0.955  0.771
O  0.248  0.747  0.816
O  0.248  0.753  0.316
O  0.249  0.513  0.530
O  0.249  0.987  0.030
O  0.287  0.235  0.783
O  0.287  0.265  0.283
O  0.339  0.070  0.329
O  0.339  0.430  0.829
O  0.378  0.725  0.101
O  0.378  0.775  0.601
O  0.398  0.195  0.038
O  0.398  0.305  0.538
O  0.425  0.122  0.582
O  0.425  0.378  0.082
O  0.434  0.579  0.693
O  0.434  0.921  0.193
O  0.566  0.079  0.807
O  0.566  0.421  0.307
O  0.575  0.622  0.918
O  0.575  0.878  0.418
O  0.602  0.695  0.462
O  0.602  0.805  0.962
O  0.622  0.225  0.399
O  0.622  0.275  0.899
O  0.661  0.570  0.171
O  0.661  0.930  0.671
O  0.713  0.735  0.717
O  0.713  0.765  0.217
O  0.751  0.013  0.970
O  0.751  0.487  0.470
O  0.752  0.247  0.684
O  0.752  0.253  0.184
O  0.755  0.045  0.229
O  0.755  0.455  0.729
O  0.774  0.045  0.470
O  0.774  0.455  0.970
O  0.936  0.674  0.121
O  0.936  0.826  0.621
O  0.972  0.619  0.864
O  0.972  0.881  0.364
O  0.986  0.196  0.080
O  0.986  0.304  0.580
O  0.998  0.620  0.654
O  0.998  0.880  0.154



VASP calculation (PBE+U) on Mn3CoNi2P6O24 after structural relaxation.

Properties
Space-group type: R3 (146)
Size of the total moment in μB per formula unit: 14.0
E_form in kJ/mol of formula units: -7656
Energy in eV per atom: -6.90

abc: 8.412 8.412 8.412
angles: 61.18 61.18 61.18
Positions (direct):
Mn  0.000  0.000  0.000
Mn  0.217  0.217  0.217
Mn  0.501  0.501  0.501
Co  0.715  0.715  0.715
Ni  0.359  0.359  0.359
Ni  0.856  0.856  0.856
P  0.108  0.818  0.401
P  0.314  0.608  0.902
P  0.401  0.108  0.818
P  0.608  0.902  0.314
P  0.818  0.401  0.108
P  0.902  0.314  0.608
O  0.046  0.849  0.242
O  0.103  0.301  0.443
O  0.113  0.768  0.919
O  0.171  0.979  0.364
O  0.242  0.046  0.849
O  0.272  0.619  0.412
O  0.301  0.443  0.103
O  0.346  0.545  0.744
O  0.364  0.171  0.979
O  0.412  0.272  0.619
O  0.443  0.103  0.301
O  0.472  0.671  0.871
O  0.545  0.744  0.346
O  0.600  0.948  0.802
O  0.619  0.412  0.272
O  0.671  0.871  0.472
O  0.744  0.346  0.545
O  0.768  0.919  0.113
O  0.802  0.600  0.948
O  0.849  0.242  0.046
O  0.871  0.472  0.671
O  0.919  0.113  0.768
O  0.948  0.802  0.600
O  0.979  0.364  0.171